1.
The following is a PBE calculation of a geometry-optimized BaAl2O6 structure, from the Materials Project database.

Lattice parameters (Å, degrees): 7.2656 12.3883 12.7907 90.00 90.00 90.00
Fractional coordinates of all 72 atoms:
O 0.5124 0.8919 0.8721
O 0.8607 0.4554 0.7216
O 0.1744 0.7230 0.4380
O 0.5255 0.3748 0.4193
O 0.0124 0.1081 0.6279
O 0.5255 0.8748 0.0807
O 0.9876 0.3919 0.1279
O 0.4745 0.1252 0.9193
O 0.3607 0.5446 0.7784
O 0.0124 0.6081 0.8721
O 0.1946 0.2285 0.7888
O 0.8054 0.2715 0.2888
O 0.9745 0.8748 0.5807
O 0.6744 0.7770 0.4380
O 0.4876 0.6081 0.3721
O 0.3607 0.0446 0.7216
O 0.8338 0.4968 0.4213
O 0.9876 0.8919 0.3721
O 0.0255 0.6252 0.0807
O 0.6393 0.9554 0.2784
O 0.8338 0.9968 0.0787
O 0.0255 0.1252 0.4193
O 0.4745 0.6252 0.5807
O 0.1393 0.5446 0.2784
O 0.3338 0.5032 0.0787
O 0.6662 0.4968 0.9213
O 0.8607 0.9554 0.7784
O 0.6946 0.2715 0.7888
O 0.1946 0.7285 0.7112
O 0.1744 0.2230 0.0620
O 0.6946 0.7715 0.7112
O 0.6393 0.4554 0.2216
O 0.6662 0.9968 0.5787
O 0.3054 0.7285 0.2112
O 0.8256 0.2770 0.5620
O 0.1393 0.0446 0.2216
O 0.3256 0.2230 0.5620
O 0.9745 0.3748 0.9193
O 0.3256 0.7230 0.9380
O 0.6744 0.2770 0.0620
O 0.1662 0.5032 0.5787
O 0.1662 0.0032 0.9213
O 0.8256 0.7770 0.9380
O 0.8054 0.7715 0.2112
O 0.3338 0.0032 0.4213
O 0.5124 0.3919 0.6279
O 0.3054 0.2285 0.2888
O 0.4876 0.1081 0.1279
Ba 0.3917 0.8468 0.5720
Ba 0.1083 0.8468 0.0720
Ba 0.6083 0.1532 0.4280
Ba 0.6083 0.6532 0.0720
Ba 0.8917 0.6532 0.5720
Ba 0.1083 0.3468 0.4280
Ba 0.8917 0.1532 0.9280
Ba 0.3917 0.3468 0.9280
Al 0.3786 0.0092 0.8535
Al 0.2707 0.1545 0.1709
Al 0.8786 0.4908 0.8535
Al 0.2293 0.1545 0.6709
Al 0.7707 0.3455 0.1709
Al 0.7293 0.8455 0.8291
Al 0.1214 0.0092 0.3535
Al 0.3786 0.5092 0.6465
Al 0.2293 0.6545 0.8291
Al 0.2707 0.6545 0.3291
Al 0.8786 0.9908 0.6465
Al 0.6214 0.4908 0.3535
Al 0.7293 0.3455 0.6709
Al 0.7707 0.8455 0.3291
Al 0.1214 0.5092 0.1465
Al 0.6214 0.9908 0.1465

## Properties
space group	Pbca (61)
energy relative to the lowest polymorph listed for this composition	214	meV/atom

2.
The following is a PBE calculation of a geometry-optimized BaAl4O7 structure, from the Materials Project database.

Lattice parameters (Å, degrees): 4.9803 10.4132 13.1467 90.00 90.00 90.00
Fractional coordinates of all 48 atoms:
Al 0.2138 0.5909 0.6314
Al 0.2946 0.3412 0.9982
Al 0.2054 0.8412 0.9982
Al 0.7862 0.4091 0.1314
Al 0.7138 0.9091 0.1314
Al 0.7138 0.9091 0.3686
Al 0.7946 0.1588 0.0018
Al 0.7862 0.4091 0.3686
Al 0.7946 0.1588 0.4982
Al 0.2862 0.0909 0.6314
Al 0.2862 0.0909 0.8686
Al 0.2054 0.8412 0.5018
Al 0.7054 0.6588 0.0018
Al 0.7054 0.6588 0.4982
Al 0.2138 0.5909 0.8686
Al 0.2946 0.3412 0.5018
O 0.6352 0.1138 0.6112
O 0.6332 0.3058 0.4644
O 0.8114 0.0693 0.1139
O 0.3648 0.8862 0.3888
O 0.8668 0.8058 0.0356
O 0.1352 0.3862 0.3888
O 0.6352 0.1138 0.8888
O 0.1886 0.9307 0.8861
O 0.3668 0.6942 0.9644
O 0.6886 0.5693 0.3861
O 0.1332 0.1942 0.5356
O 0.2104 0.1592 0.7500
O 0.1332 0.1942 0.9644
O 0.8648 0.6138 0.8888
O 0.3648 0.8862 0.1112
O 0.8114 0.0693 0.3861
O 0.8668 0.8058 0.4644
O 0.7104 0.3408 0.2500
O 0.6332 0.3058 0.0356
O 0.7896 0.8408 0.2500
O 0.2896 0.6592 0.7500
O 0.3668 0.6942 0.5356
O 0.3114 0.4307 0.6139
O 0.8648 0.6138 0.6112
O 0.3114 0.4307 0.8861
O 0.1886 0.9307 0.6139
O 0.1352 0.3862 0.1112
O 0.6886 0.5693 0.1139
Ba 0.7925 0.8235 0.7500
Ba 0.2925 0.6765 0.2500
Ba 0.7075 0.3235 0.7500
Ba 0.2075 0.1765 0.2500

## Properties
space group	Pnma (62)
energy relative to the lowest polymorph listed for this composition	23	meV/atom

3.
The following is a PBE calculation of a geometry-optimized BaAl2O6 structure, from the Materials Project database.

Lattice parameters (Å, degrees): 5.6730 9.6429 11.0970 90.00 90.00 90.00
Fractional coordinates of all 36 atoms:
Al 0.6612 0.3229 0.2168
Al 0.6180 0.6567 0.1451
Al 0.8820 0.1567 0.6451
Al 0.1180 0.8433 0.1451
Al 0.8388 0.8229 0.7168
Al 0.1612 0.1771 0.2168
Al 0.3388 0.6771 0.7168
Al 0.3820 0.3433 0.6451
O 0.5932 0.4972 0.2232
O 0.0932 0.0028 0.2232
O 0.8713 0.7467 0.1948
O 0.3332 0.8569 0.5251
O 0.4068 0.5028 0.7232
O 0.6303 0.5925 0.9960
O 0.8697 0.0925 0.4960
O 0.5535 0.7915 0.7662
O 0.4465 0.2085 0.2662
O 0.9068 0.9972 0.7232
O 0.1668 0.3569 0.0251
O 0.6287 0.2467 0.6948
O 0.3713 0.7533 0.1948
O 0.3260 0.7211 0.5450
O 0.9465 0.2915 0.2662
O 0.3697 0.4075 0.4960
O 0.8260 0.7789 0.5450
O 0.1303 0.9075 0.9960
O 0.6740 0.2789 0.0450
O 0.1740 0.2211 0.0450
O 0.6668 0.1431 0.0251
O 0.8332 0.6431 0.5251
O 0.0535 0.7085 0.7662
O 0.1287 0.2533 0.6948
Ba 0.3583 0.0406 0.8298
Ba 0.8583 0.4594 0.8298
Ba 0.1417 0.5406 0.3298
Ba 0.6417 0.9594 0.3298

## Properties
space group	Pna2_1 (33)
energy relative to the lowest polymorph listed for this composition	97	meV/atom

4.
The following is a PBE calculation of a geometry-optimized BaAl2O4 structure, from the Materials Project database.

Lattice parameters (Å, degrees): 10.5847 10.5847 8.8741 90.00 90.00 120.00
Fractional coordinates of all 56 atoms:
Al 0.8463 0.6717 0.9509
Al 0.3309 0.1761 0.5645
Al 0.1548 0.3309 0.0645
Al 0.8254 0.1537 0.9509
Al 0.1761 0.8452 0.0645
Al 0.1746 0.8463 0.4509
Al 0.3333 0.6667 0.9477
Al 0.6717 0.8254 0.4509
Al 0.6691 0.8239 0.0645
Al 0.8239 0.1548 0.5645
Al 0.6667 0.3333 0.4477
Al 0.8452 0.6691 0.5645
Al 0.6667 0.3333 0.0466
Al 0.3283 0.1746 0.9509
Al 0.3333 0.6667 0.5466
Al 0.1537 0.3283 0.4509
O 0.3145 0.4974 0.4895
O 0.6877 0.6872 0.5476
O 0.8896 0.6786 0.7577
O 0.5007 0.3204 0.5022
O 0.2110 0.8896 0.2577
O 0.8188 0.8214 0.9803
O 0.1828 0.6855 0.4895
O 0.0005 0.6877 0.0476
O 0.7890 0.1104 0.7577
O 0.3128 0.0005 0.5476
O 0.8214 0.0026 0.4803
O 0.0026 0.1812 0.9803
O 0.1803 0.5007 0.0022
O 0.3214 0.2110 0.7577
O 0.6667 0.3333 0.2471
O 0.1812 0.1786 0.4803
O 0.3123 0.3128 0.0476
O 0.8172 0.3145 0.9895
O 0.6855 0.5026 0.9895
O 0.4993 0.6796 0.0022
O 0.9974 0.8188 0.4803
O 0.6872 0.9995 0.0476
O 0.6796 0.1803 0.5022
O 0.6786 0.7890 0.2577
O 0.3204 0.8197 0.0022
O 0.9995 0.3123 0.5476
O 0.3333 0.6667 0.7471
O 0.1104 0.3214 0.2577
O 0.5026 0.8172 0.4895
O 0.8197 0.4993 0.5022
O 0.1786 0.9974 0.9803
O 0.4974 0.1828 0.9895
Ba 0.5074 0.0084 0.2578
Ba 0.0000 0.0000 0.7481
Ba 0.0084 0.5010 0.7578
Ba 0.0000 0.0000 0.2481
Ba 0.5010 0.4926 0.2578
Ba 0.4990 0.5074 0.7578
Ba 0.4926 0.9916 0.7578
Ba 0.9916 0.4990 0.2578

## Properties
space group	P6_3 (173)
energy relative to the lowest polymorph listed for this composition	0	meV/atom

5.
The following is a PBE calculation of a geometry-optimized Ba17Al3O7 structure, from the Materials Project database.

Lattice parameters (Å, degrees): 15.1091 15.1091 18.5105 89.99 89.99 89.99
Fractional coordinates of all 108 atoms:
O 0.2501 0.2501 0.1981
O 0.3659 0.3659 0.7870
O 0.1340 0.1340 0.7871
O 0.3659 0.1340 0.2871
O 0.5675 0.7971 0.8500
O 0.7030 0.5675 0.3500
O 0.0675 0.2970 0.1501
O 0.6341 0.6341 0.2130
O 0.9326 0.7970 0.3499
O 0.7499 0.7499 0.8019
O 0.2030 0.0674 0.6501
O 0.2029 0.4325 0.1500
O 0.4325 0.2029 0.1500
O 0.2500 0.2500 0.6981
O 0.7500 0.7500 0.3019
O 0.9325 0.7030 0.8499
O 0.8660 0.6341 0.7129
O 0.4325 0.2970 0.6500
O 0.5675 0.7030 0.3500
O 0.7030 0.9325 0.8499
O 0.7970 0.9326 0.3499
O 0.6341 0.8660 0.7129
O 0.2970 0.0675 0.1501
O 0.8660 0.8660 0.2129
O 0.2970 0.4325 0.6500
O 0.1340 0.3659 0.2871
O 0.7971 0.5675 0.8500
O 0.0674 0.2030 0.6501
Ba 0.8850 0.8850 0.4850
Ba 0.5286 0.2543 0.7920
Ba 0.0691 0.4306 0.4104
Ba 0.1026 0.7553 0.4097
Ba 0.5695 0.5695 0.0894
Ba 0.3846 0.1152 0.0150
Ba 0.6154 0.8848 0.9850
Ba 0.2499 0.2499 0.8508
Ba 0.0130 0.4873 0.1915
Ba 0.0126 0.0126 0.6915
Ba 0.6318 0.6318 0.8722
Ba 0.2546 0.6029 0.5901
Ba 0.6028 0.2451 0.0903
Ba 0.4873 0.0130 0.1915
Ba 0.2460 0.5286 0.2925
Ba 0.7457 0.4714 0.2080
Ba 0.2447 0.8974 0.5903
Ba 0.9310 0.9310 0.0896
Ba 0.9715 0.2457 0.7925
Ba 0.1150 0.1150 0.5150
Ba 0.4306 0.0691 0.4104
Ba 0.8683 0.6317 0.3721
Ba 0.7501 0.7501 0.1492
Ba 0.0287 0.7455 0.7080
Ba 0.5130 0.5130 0.3086
Ba 0.5286 0.2460 0.2925
Ba 0.3972 0.7549 0.9097
Ba 0.2543 0.5286 0.7920
Ba 0.7540 0.4714 0.7075
Ba 0.4714 0.7540 0.7075
Ba 0.7553 0.1026 0.4097
Ba 0.7455 0.0287 0.7080
Ba 0.3682 0.3682 0.1278
Ba 0.8684 0.8684 0.8719
Ba 0.8972 0.2549 0.0901
Ba 0.4305 0.4305 0.9106
Ba 0.7543 0.0285 0.2075
Ba 0.9874 0.9874 0.3085
Ba 0.0690 0.0690 0.9104
Ba 0.1317 0.3683 0.6279
Ba 0.7549 0.3972 0.9097
Ba 0.8974 0.2447 0.5903
Ba 0.9870 0.5127 0.8085
Ba 0.2451 0.6028 0.0903
Ba 0.5127 0.9870 0.8085
Ba 0.7451 0.1028 0.9099
Ba 0.2549 0.8972 0.0901
Ba 0.9713 0.2545 0.2920
Ba 0.6029 0.2546 0.5901
Ba 0.9309 0.5694 0.5896
Ba 0.2457 0.9715 0.7925
Ba 0.8848 0.6154 0.9850
Ba 0.0285 0.7543 0.2075
Ba 0.2500 0.2500 0.3507
Ba 0.4870 0.4870 0.6914
Ba 0.4714 0.7457 0.2080
Ba 0.2545 0.9713 0.2920
Ba 0.7500 0.7500 0.6493
Ba 0.6155 0.6155 0.4851
Ba 0.3683 0.1317 0.6279
Ba 0.5694 0.9309 0.5896
Ba 0.1028 0.7451 0.9099
Ba 0.3971 0.7454 0.4099
Ba 0.7454 0.3971 0.4099
Ba 0.3845 0.3845 0.5149
Ba 0.6317 0.8683 0.3721
Ba 0.1316 0.1316 0.1281
Ba 0.1152 0.3846 0.0150
Al 0.7500 0.2502 0.7500
Al 0.7498 0.2500 0.2500
Al 0.8360 0.8360 0.3034
Al 0.3359 0.3359 0.6965
Al 0.1640 0.3360 0.1966
Al 0.3360 0.1640 0.1966
Al 0.6640 0.8360 0.8034
Al 0.8360 0.6640 0.8034
Al 0.1640 0.1640 0.6966
Al 0.2502 0.7500 0.7500
Al 0.2500 0.7498 0.2500
Al 0.6641 0.6641 0.3035

## Properties
space group	C2/m (12)

6.
The following is a PBE calculation of a geometry-optimized BaAl2O4 structure, from the Materials Project database.

Lattice parameters (Å, degrees): 5.2670 5.2670 8.9705 89.44 89.44 60.27
Fractional coordinates of all 14 atoms:
O 0.6405 0.0016 0.4873
O 0.9984 0.3595 0.5127
O 0.3553 0.6447 0.5000
O 0.2966 0.3593 0.2504
O 0.9978 0.6468 0.9910
O 0.6370 0.3630 0.0000
O 0.6407 0.7034 0.7496
O 0.3532 0.0022 0.0090
Al 0.3257 0.3389 0.4457
Al 0.6587 0.6762 0.9457
Al 0.3238 0.3413 0.0543
Al 0.6611 0.6743 0.5543
Ba 0.9996 0.0013 0.7502
Ba 0.9987 0.0004 0.2498

## Properties
space group	C2 (5)
energy relative to the lowest polymorph listed for this composition	4	meV/atom

7.
The following is a PBE calculation of a geometry-optimized BaAl2O6 structure, from the Materials Project database.

Lattice parameters (Å, degrees): 5.6316 5.6316 10.7515 71.12 71.12 76.19
Fractional coordinates of all 18 atoms:
O 0.6699 0.9279 0.5068
O 0.5984 0.0909 0.2351
O 0.0832 0.0780 0.2653
O 0.8121 0.5804 0.0064
O 0.0721 0.3301 0.4932
O 0.2634 0.5649 0.1046
O 0.9091 0.4016 0.7649
O 0.4196 0.1879 0.9936
O 0.4351 0.7366 0.8954
O 0.6166 0.4209 0.3924
O 0.5791 0.3834 0.6076
O 0.9220 0.9168 0.7347
Al 0.3464 0.2239 0.1623
Al 0.7761 0.6536 0.8377
Al 0.8647 0.2409 0.6621
Al 0.7591 0.1353 0.3379
Ba 0.9852 0.0148 0.0000
Ba 0.2372 0.7628 0.5000

## Properties
space group	C2 (5)
energy relative to the lowest polymorph listed for this composition	97	meV/atom

8.
The following is a PBE calculation of a geometry-optimized BaAl2O6 structure, from the Materials Project database.

Lattice parameters (Å, degrees): 5.5388 9.8308 10.9833 90.00 90.00 90.00
Fractional coordinates of all 36 atoms:
Al 0.6107 0.6572 0.1505
Al 0.3240 0.6707 0.6848
Al 0.8893 0.1572 0.6505
Al 0.1107 0.8428 0.1505
Al 0.8240 0.8293 0.6848
Al 0.1760 0.1707 0.1848
Al 0.3893 0.3428 0.6505
Al 0.6760 0.3293 0.1848
O 0.7961 0.8111 0.5212
O 0.6439 0.2537 0.7009
O 0.5381 0.7852 0.7498
O 0.6103 0.4974 0.2245
O 0.6199 0.6018 0.9957
O 0.3561 0.7463 0.2009
O 0.2961 0.6889 0.5212
O 0.7039 0.3111 0.0212
O 0.4088 0.8873 0.5812
O 0.8561 0.7537 0.2009
O 0.5912 0.1127 0.0812
O 0.4619 0.2148 0.2498
O 0.0381 0.7148 0.7498
O 0.9619 0.2852 0.2498
O 0.1439 0.2463 0.7009
O 0.3801 0.3982 0.4957
O 0.1199 0.8982 0.9957
O 0.2039 0.1889 0.0212
O 0.9088 0.6127 0.5812
O 0.3897 0.5026 0.7245
O 0.0912 0.3873 0.0812
O 0.8801 0.1018 0.4957
O 0.1103 0.0026 0.2245
O 0.8897 0.9974 0.7245
Ba 0.3781 0.0417 0.8334
Ba 0.1219 0.5417 0.3334
Ba 0.8781 0.4583 0.8334
Ba 0.6219 0.9583 0.3334

## Properties
space group	Pna2_1 (33)
energy relative to the lowest polymorph listed for this composition	4	meV/atom

Values for formation energy, eV/f.u., ordered as above
-19.06; -41.09; -20.11; -24.14; -39.28; -24.11; -20.11; -20.95